Entry 1:
# NiB2O4

Crystalline NiB2O4 at its relaxed geometry (PBE with a Hubbard U, the Materials Project).

The structure in POSCAR format:
```
NiB2O4
1.0
-0.9756 -4.3178 -0.5236
7.6403 -0.7076 4.7134
-2.9259 0.0845 4.7556
O B Ni
16 8 4
direct
0.8360 0.8556 0.3498
0.8936 0.3626 0.5897
0.8360 0.3556 0.1502
0.1640 0.6444 0.8498
0.8936 0.8626 0.9103
0.6064 0.1374 0.9103
0.1640 0.1444 0.6502
0.3360 0.8556 0.6502
0.3936 0.3626 0.4103
0.3360 0.3556 0.8498
0.6640 0.1444 0.3498
0.1064 0.1374 0.0897
0.3936 0.8626 0.0897
0.1064 0.6374 0.4103
0.6064 0.6374 0.5897
0.6640 0.6444 0.1502
0.6872 0.3147 0.3926
0.3128 0.6853 0.6074
0.3128 0.1853 0.8926
0.8128 0.1853 0.1074
0.1872 0.3147 0.6074
0.6872 0.8147 0.1074
0.8128 0.6853 0.3926
0.1872 0.8147 0.8926
0.7500 0.5000 0.8454
0.2500 0.5000 0.1546
0.2500 0.0000 0.3454
0.7500 0.0000 0.6546
```

## Properties
E (MP2020) = -0.2912 Ha/atom
ΔH_f (0 K) = -1596 kJ/mol of formula units
total DFT energy (no corrections) = -200.7 eV for the cell shown

=====

Entry 2:
# Ni3B2O6

Crystalline Ni3B2O6 at its relaxed geometry (PBE with a Hubbard U, the Materials Project).

The structure in POSCAR format:
```
Ni3B2O6
1.0
4.5021 0.0000 0.0000
0.0000 5.4450 0.0000
0.0000 0.0000 8.3998
Ni B O
6 4 12
direct
0.0000 0.0000 0.0000
0.0000 0.5000 0.1844
0.0000 0.5000 0.8156
0.5000 0.0000 0.3156
0.5000 0.0000 0.6844
0.5000 0.5000 0.5000
0.0433 0.2453 0.5000
0.4567 0.7453 0.0000
0.5433 0.2547 0.0000
0.9567 0.7547 0.5000
0.2011 0.2982 0.3601
0.2011 0.2982 0.6399
0.2481 0.3246 0.0000
0.2519 0.8246 0.5000
0.2989 0.7982 0.1399
0.2989 0.7982 0.8601
0.7011 0.2018 0.1399
0.7011 0.2018 0.8601
0.7481 0.1754 0.5000
0.7519 0.6754 0.0000
0.7989 0.7018 0.3601
0.7989 0.7018 0.6399
```

## Properties
E (MP2020) = -0.2744 Ha/atom
ΔH_f (0 K) = -2098 kJ/mol of formula units
space-group type = Pnnm
total DFT energy (no corrections) = -140.8 eV for the cell shown

=====

Entry 3:
# Ni3BO5

Crystalline Ni3BO5 at its relaxed geometry (PBE with a Hubbard U, the Materials Project).

The structure in POSCAR format:
```
Ni3BO5
1.0
9.1206 0.0000 0.0000
0.0000 12.3151 0.0000
0.0000 0.0000 2.9918
Ni B O
12 4 20
direct
0.0000 0.0000 0.0000
0.0000 0.5000 0.5000
0.0025 0.2197 0.5000
0.2400 0.6136 0.0000
0.2600 0.1136 0.0000
0.4975 0.7197 0.5000
0.5000 0.0000 0.5000
0.5000 0.5000 0.0000
0.5025 0.2803 0.5000
0.7400 0.8864 0.0000
0.7600 0.3864 0.0000
0.9975 0.7803 0.5000
0.2263 0.3612 0.0000
0.2737 0.8612 0.0000
0.7263 0.1388 0.0000
0.7737 0.6388 0.0000
0.1084 0.6431 0.5000
0.1161 0.0782 0.5000
0.1217 0.8597 0.0000
0.1495 0.4579 0.0000
0.1508 0.2636 0.0000
0.3492 0.7636 0.0000
0.3505 0.9579 0.0000
0.3783 0.3597 0.0000
0.3839 0.5782 0.5000
0.3916 0.1431 0.5000
0.6084 0.8569 0.5000
0.6161 0.4218 0.5000
0.6217 0.6403 0.0000
0.6495 0.0421 0.0000
0.6508 0.2364 0.0000
0.8492 0.7364 0.0000
0.8505 0.5421 0.0000
0.8783 0.1403 0.0000
0.8839 0.9218 0.5000
0.8916 0.3569 0.5000
```

## Properties
E (MP2020) = -0.2596 Ha/atom
ΔH_f (0 K) = -1430 kJ/mol of formula units
space-group type = Pbam
total DFT energy (no corrections) = -210.1 eV for the cell shown

=====

Question: Which value of total DFT energy (no corrections) does entry 3 give?
Answer: -210.1 eV for the cell shown

=====

Question: Among the records above, which one has the highest total DFT energy (no corrections)?
Answer: Ni3B2O6

=====

Question: Which formula does entry 1 have?
Answer: NiB2O4

=====

Question: Which value of total DFT energy (no corrections) does entry 2 give?
Answer: -140.8 eV for the cell shown